Record 1
This record from the Materials Project database describes an optimized crystal structure of K5LiGe2O7. The functional is PBE-GGA.

```
K5LiGe2O7
1.0
16.103 0.000 0.000
0.000 6.326 0.000
0.000 3.598 10.119
O K Li Ge
28 20 4 8
Cartesian
8.046 8.830 8.144
3.532 2.115 5.359
5.901 1.964 3.722
4.792 4.372 7.564
4.519 0.316 0.299
16.097 2.893 7.035
11.310 5.552 2.554
0.005 7.031 3.084
12.571 7.809 4.760
10.202 7.960 6.397
8.057 1.094 1.975
2.151 3.763 8.781
12.844 7.351 7.614
1.789 5.048 6.181
12.591 3.570 0.728
4.539 4.555 4.331
14.314 4.876 3.938
3.512 6.354 9.391
3.259 2.573 2.505
7.910 6.165 6.829
9.840 6.676 8.997
8.192 3.759 3.290
11.583 9.608 9.819
0.141 4.366 1.770
6.263 3.248 1.122
11.563 5.369 5.787
15.962 5.558 8.349
13.952 6.161 1.338
13.452 5.185 9.248
10.173 4.207 7.752
2.650 4.739 0.871
7.141 4.958 9.314
9.141 6.265 4.221
2.122 7.517 7.426
15.013 8.064 9.280
13.981 2.408 2.693
1.090 1.860 0.838
8.962 4.966 0.805
6.962 3.660 5.898
5.401 6.539 5.931
2.474 6.341 3.944
10.525 1.784 1.116
13.629 3.583 6.175
0.911 3.159 4.255
15.192 6.765 5.864
5.578 8.140 9.003
5.930 5.717 2.366
10.702 3.386 4.188
4.511 2.249 1.050
3.540 4.048 6.109
12.563 5.876 4.010
11.591 7.676 9.069
7.184 2.555 2.474
15.236 5.570 2.585
12.325 5.275 1.144
4.274 2.850 3.915
0.867 4.354 7.534
11.829 7.074 6.203
3.778 4.649 8.975
8.918 7.369 7.644
```

Final energy   -5.196 eV per atom
Volume   258 Å³/f.u.
Energy of formation from the pure elements   -2.09 eV per atom
Total magnetization   0.00 μB per atom

Record 2
This record from the Materials Project database describes an optimized crystal structure of Tm2AgOs. The functional is PBE-GGA.

```
Tm2AgOs
1.0
0.000 3.456 3.456
3.456 0.000 3.456
3.456 3.456 0.000
Tm Os Ag
2 1 1
Cartesian
5.184 5.184 5.184
1.728 1.728 1.728
0.000 0.000 0.000
3.456 3.456 3.456
```

Final energy   -6.095 eV per atom
Volume   83 Å³/f.u.
Energy of formation from the pure elements   -0.34 eV per atom

Record 3
This record from the Materials Project database describes an optimized crystal structure of Hg4SbO6. The functional is PBE-GGA.

```
Hg4SbO6
1.0
-8.430 1.164 1.443
4.478 -4.769 -5.631
-1.930 -4.440 0.202
O Sb Hg
6 1 4
Cartesian
-9.071 -3.650 0.594
-3.090 -7.314 -3.202
1.142 -8.344 -5.003
-3.366 -4.409 -2.445
-1.131 -2.064 -0.333
-5.772 -6.081 -1.733
-5.187 -7.256 -3.379
0.393 -7.141 -3.217
-4.569 -4.831 -0.527
-6.803 -3.833 0.726
-1.844 -6.083 -2.020
```

Final energy   -3.543 eV per atom
Volume   189 Å³/f.u.
Energy of formation from the pure elements   -0.73 eV per atom
Total magnetization   0.00 μB per atom

Record 4
This record from the Materials Project database describes an optimized crystal structure of Al2Ga2Bi2O9. The functional is PBE-GGA.

```
Al2Ga2Bi2O9
1.0
-3.623 3.012 -3.589
-6.249 -2.895 3.879
0.231 6.516 5.235
O Ga Al Bi
18 4 4 4
Cartesian
-1.536 5.050 3.328
-8.106 1.584 2.197
-4.821 3.317 2.762
-3.198 1.076 1.670
-1.812 1.506 -1.795
-4.054 -1.474 2.855
-2.607 3.776 0.913
-4.997 2.572 -0.112
-6.443 5.559 3.854
-7.035 2.858 4.612
-5.806 0.222 1.160
-3.335 6.546 1.546
-1.964 5.096 6.259
-4.644 4.062 5.637
-6.306 0.088 3.979
-3.835 6.412 4.365
-5.175 1.211 6.240
-0.843 2.410 2.874
-0.832 4.046 1.679
-5.800 0.777 -0.711
-2.560 5.482 -0.033
-4.073 -0.659 1.000
-2.524 6.566 3.171
-7.118 0.068 2.354
-5.690 3.933 4.158
-3.951 2.701 1.367
-1.868 3.444 4.777
-4.957 3.008 7.528
-1.061 0.614 1.586
-4.150 0.177 4.338
```

Final energy   -6.434 eV per atom
Energy above the most stable polymorph in this dataset   13 meV/atom
Volume   196 Å³/f.u.
Energy of formation from the pure elements   -2.46 eV per atom
Total magnetization   0.00 μB per atom

no.,theoretical density (g/cm3)
1,2.96
2,12.79
3,8.99
4,6.41